(1)
C | the Materials Project database | meta-GGA r2SCAN | optimized geometry; crystal system = trigonal; excess energy over the best structure of this formula in the dataset = 2 meV per atom; DFT formation energy = 0.002 eV per atom; magnetic moment = 0.0000 μB per atom
1.0
-4.841 -4.865 -2.524
-3.049 -5.171 -4.175
-2.962 -6.369 -2.033
C
4
Direct
0.252 0.252 0.252
0.919 0.919 0.919
0.748 0.748 0.748
0.081 0.081 0.081

---

(2)
C | the Materials Project database | meta-GGA r2SCAN | optimized geometry; crystal system = orthorhombic; excess energy over the best structure of this formula in the dataset = 1 meV per atom; DFT formation energy = 0.001 eV per atom; magnetic moment = 0.0000 μB per atom
1.0
-2.036 -0.645 -1.210
0.352 -0.767 2.306
-3.243 5.729 2.401
C
4
Direct
0.583 0.417 0.247
0.417 0.583 0.753
0.917 0.083 0.247
0.083 0.917 0.753

---

(3)
C | the Materials Project database | meta-GGA r2SCAN | optimized geometry; crystal system = hexagonal; excess energy over the best structure of this formula in the dataset = 117 meV per atom; DFT formation energy = 0.117 eV per atom; magnetic moment = 0.0000 μB per atom
1.0
2.514 0.000 0.000
-1.257 2.177 0.000
0.000 0.000 16.503
C
16
Direct
0.333 0.667 0.078
0.333 0.667 0.171
0.000 0.000 0.047
0.667 0.333 0.203
0.000 0.000 0.547
0.667 0.333 0.671
0.667 0.333 0.297
0.333 0.667 0.703
0.333 0.667 0.329
0.333 0.667 0.422
0.667 0.333 0.829
0.333 0.667 0.797
0.667 0.333 0.578
0.667 0.333 0.922
0.000 0.000 0.453
0.000 0.000 0.953

---

Q: magnetic moment of number 3 (C)?
A: 0.0000 μB per atom